1.
First-principles (PBE) data for an optimized crystal structure of CaMnGe, as listed in Materials Project.

a b c (Å): 4.021 4.021 7.545
angles (deg): 90.00 90.00 90.00
Element x y z (fractional)
Ge (0.000, 0.500, 0.201)
Mn (0.000, 0.000, 0.000)
Ge (0.500, 0.000, 0.799)
Mn (0.500, 0.500, 0.000)
Ca (0.500, 0.000, 0.334)
Ca (0.000, 0.500, 0.666)

Computed properties:
The formation energy is -351 meV/atom. The magnetic moment comes out at 2.30 μB per formula unit. Its electronic total energy is -33.686 eV for the cell shown.



2.
First-principles (PBE) data for an optimized crystal structure of CaMn2Ge2, as listed in Materials Project.

a b c (Å): 4.006 4.006 6.201
angles (deg): 108.84 108.84 90.00
Element x y z (fractional)
Ge (0.624, 0.624, 0.248)
Mn (0.750, 0.250, 0.500)
Mn (0.250, 0.750, 0.500)
Ca (0.000, 0.000, 0.000)
Ge (0.376, 0.376, 0.752)

Computed properties:
The formation energy is -338 meV/atom. Its electronic total energy is -31.268 eV for the cell shown.